The following is a meta-GGA r2SCAN calculation of an optimized crystal structure of Er7FeI12, from Materials Project.

Cell lengths 9.598, 9.598, 9.598 Å; angles 107.06, 107.06, 107.06 degrees
Sites, in units of the cell vectors:
Er 0.000 0.000 0.000
Er 0.213 0.480 0.410
Er 0.410 0.213 0.480
Er 0.480 0.410 0.213
Er 0.520 0.590 0.787
Er 0.590 0.787 0.520
Er 0.787 0.520 0.590
Fe 0.500 0.500 0.500
I 0.036 0.114 0.340
I 0.114 0.340 0.036
I 0.177 0.572 0.727
I 0.273 0.823 0.428
I 0.340 0.036 0.114
I 0.428 0.273 0.823
I 0.572 0.727 0.177
I 0.660 0.964 0.886
I 0.727 0.177 0.572
I 0.823 0.428 0.273
I 0.886 0.660 0.964
I 0.964 0.886 0.660

Summary:
The electronic total energy is -573.24 eV for the cell shown.